# Ba2Pr4MgCu2O10, relaxed, DFT PBE
data_Ba2Pr4MgCu2O10
_space_group_name_H-M_alt 'P 1 m 1'
_space_group_IT_number 6
_cell_length_a 6.952
_cell_length_b 5.931
_cell_length_c 7.662
_cell_angle_alpha 90.00
_cell_angle_beta 98.41
_cell_angle_gamma 90.00
loop_
_space_group_symop_operation_xyz
'x,y,z'
'x,-y,z'
loop_
_atom_site_label
_atom_site_fract_x
_atom_site_fract_y
_atom_site_fract_z
_atom_site_occupancy
Ba1 0.000 0.000 0.000 1
Ba2 0.439 0.000 0.590 1
Pr1 0.098 0.500 0.755 1
Pr2 0.306 0.500 0.262 1
Pr3 0.589 0.500 0.930 1
Pr4 0.867 0.500 0.320 1
Mg1 0.646 0.500 0.571 1
Cu1 0.481 0.000 0.150 1
Cu2 0.949 0.000 0.557 1
O1 0.100 0.254 0.447 1
O2 0.326 0.258 0.987 1
O3 0.411 0.500 0.663 1
O4 0.579 0.271 0.344 1
O5 0.803 0.263 0.726 1
O6 0.954 0.500 0.056 1
# Formation energy   -2.612 eV per atom
# Offset from the most stable computed form   0.0614 eV/atom